[1]
93
Lattice="8.8327 0.0000 0.0000 3.5237 8.1111 0.0000 1.7563 3.0331 16.3828" Properties=species:S:1:pos:R:3 comment="Li17W19O57 | Materials Project | PBE with a Hubbard U | optimized geometry" energy_ev_per_atom=-6.804 spacegroup=P-1 ef_ev_per_atom=-2.10 pbc="T T T"
Li 0.0000 0.0000 0.0000
Li 3.5379 6.1287 14.6586
Li 5.2958 9.2138 12.9499
Li 3.5314 4.1944 11.2245
Li 5.3082 7.3217 9.4810
Li 3.5279 2.2720 7.7783
Li 5.3098 5.3797 6.0359
Li 5.3034 3.4672 2.5788
Li 7.0685 6.5801 0.8416
Li 7.0442 4.5641 15.5412
Li 8.8093 7.6770 13.8040
Li 8.8028 5.7645 10.3469
Li 10.5848 8.8722 8.6045
Li 8.8044 3.8225 6.9018
Li 10.5812 6.9498 5.1583
Li 8.8168 1.9304 3.4330
Li 10.5747 5.0155 1.7242
W 2.6400 5.5721 8.1914
W 4.4149 8.6418 6.4621
W 2.6419 3.6315 4.7342
W 4.4150 6.7610 3.0260
W 2.6587 1.7234 1.3000
W 6.1762 7.8608 15.9507
W 4.4238 2.8410 14.2092
W 6.1833 5.9245 12.4884
W 7.9266 9.0406 10.7885
W 6.1824 4.0086 9.0644
W 7.9302 7.1356 7.3184
W 6.1860 2.1036 5.5943
W 7.9293 5.2197 3.8944
W 9.6889 8.3032 2.1737
W 7.9365 3.2835 0.4321
W 11.4540 9.4208 15.0828
W 9.6976 4.3833 13.3569
W 11.4708 7.5127 11.6486
W 9.6977 2.5025 9.9207
O 0.8781 1.5166 8.1914
O 3.5137 7.1384 7.3612
O 4.3883 8.5973 15.5164
O 2.6458 4.5866 6.4127
O 2.5837 3.6351 13.7512
O 1.7515 2.1740 5.6063
O 4.3527 7.7465 4.7767
O 4.3775 6.7370 12.0920
O 3.5204 5.1655 3.9176
O 2.6419 2.7475 3.0529
O 5.2845 8.3282 2.1019
O 6.1947 9.7842 10.2977
O 4.3696 5.7599 1.2822
O 4.3867 4.8497 8.6067
O 3.5026 3.2554 0.4666
O 4.3575 3.7872 15.9090
O 7.0087 9.3685 15.1087
O 6.1474 7.8670 6.9709
O 6.1523 6.8628 14.1938
O 5.2168 4.4431 13.3760
O 4.4026 2.9072 5.1501
O 7.8311 10.0051 12.5431
O 6.0989 5.9675 3.4499
O 7.0727 7.4998 11.6691
O 6.1886 5.0602 10.7658
O 5.2584 2.5345 9.8639
O 4.4540 0.9661 1.6559
O 7.9387 8.0750 9.0824
O 6.1782 4.0556 0.0000
O 7.0563 5.5721 8.1914
O 6.1739 3.0693 7.3004
O 9.6586 10.1781 14.7269
O 8.8542 8.6097 6.5189
O 7.9241 6.0841 5.6170
O 7.0400 3.6444 4.7137
O 8.0138 5.1768 12.9329
O 6.2815 1.1391 3.8398
O 9.7101 8.2370 11.2327
O 8.8959 6.7011 3.0068
O 7.9603 4.2815 2.1890
O 7.9652 3.2772 9.4119
O 7.1039 1.7758 1.2741
O 9.7552 7.3571 0.4738
O 10.6101 7.8889 15.9162
O 9.7260 6.2945 7.7761
O 9.7431 5.3844 15.1006
O 7.9179 1.3600 6.0851
O 8.8281 2.8161 14.2809
O 11.4708 8.3967 13.3300
O 10.5922 5.9787 12.4652
O 9.7352 4.4073 4.2908
O 9.7600 3.3978 11.6061
O 12.3612 8.9702 10.7765
O 11.5289 7.5092 2.6316
O 11.4668 6.5577 9.9701
O 9.7243 2.5469 0.8664
O 10.5990 4.0058 9.0217



[2]
28
Lattice="6.1173 0.0000 0.0000 -3.0157 5.4670 0.0000 -0.0871 -0.4720 9.7952" Properties=species:S:1:pos:R:3 comment="Li4Mn3Nb3Fe2O16 | Materials Project | PBE with a Hubbard U | optimized geometry" energy_ev_per_atom=-7.406 spacegroup=P1 ef_ev_per_atom=-2.37 pbc="T T T"
Li 0.0000 0.0000 0.0000
Li -0.0431 -0.0432 5.0594
Li 0.0268 3.4319 6.0305
Li 3.0995 1.8745 0.9738
Mn 0.0155 1.7634 2.8398
Mn 1.5219 0.5115 7.7781
Mn 4.5267 0.5799 7.7627
Nb -1.4927 4.4470 2.8275
Nb 1.5325 4.4500 2.8004
Nb 3.0034 3.2243 7.6701
Fe -0.0887 3.0483 9.7713
Fe 3.0721 1.3713 5.1786
O -1.3568 2.9347 1.5893
O -0.1616 1.2976 8.9333
O -1.6008 3.9867 8.8570
O 1.5449 0.6344 3.9972
O 0.0323 3.6721 3.9287
O 0.0204 5.2574 1.6889
O 1.3996 2.9281 1.5667
O 1.7393 2.3704 6.3765
O 3.1576 -0.0745 6.4868
O 1.5142 3.8961 8.8715
O 3.1257 1.4996 8.7846
O 4.5519 0.6583 3.9507
O 3.0768 3.6566 3.8660
O 4.3569 2.4377 6.3900
O 2.9287 5.0750 6.8581
O 3.0901 5.3320 1.8190



[3]
24
Lattice="4.7829 0.0000 0.0000 0.0000 5.8345 0.0000 -0.1533 0.0000 9.8816" Properties=species:S:1:pos:R:3 comment="CrCo3P4O16 | Materials Project | PBE with a Hubbard U | optimized geometry" energy_ev_per_atom=-6.911 spacegroup=Pm ef_ev_per_atom=-2.17 pbc="T T T"
Cr 0.0000 0.0000 0.0000
Co 0.3283 2.9172 5.4368
Co 2.4046 2.9172 0.4125
Co 2.7249 0.0000 4.8529
P 0.4850 0.0000 6.6940
P 2.0902 0.0000 1.7394
P 2.8838 2.9172 3.6095
P 4.3759 2.9172 8.5586
O 0.8578 0.0000 8.1666
O 1.1163 2.9172 8.7924
O 1.1838 1.2078 5.9395
O 1.1838 4.6267 5.9395
O 1.3683 1.1926 0.9953
O 1.3683 4.6419 0.9953
O 1.3725 2.9172 3.7910
O 1.7140 0.0000 3.2260
O 3.2436 2.9172 2.1086
O 3.5976 0.0000 1.5638
O 3.5944 1.7184 4.3513
O 3.5944 4.1161 4.3513
O 3.6726 1.7136 9.2945
O 3.6726 4.1209 9.2945
O 3.7511 0.0000 6.4934
O 4.0465 2.9172 7.0703



[4]
36
Lattice="0.0000 11.5393 5.9408 4.4195 0.0000 5.9408 4.4195 11.5393 0.0000" Properties=species:S:1:pos:R:3 comment="K4CoP6O25 | Materials Project | PBE with a Hubbard U | optimized geometry" energy_ev_per_atom=-5.936 spacegroup=Fmm2 ef_ev_per_atom=-1.80 pbc="T T T"
K 4.4195 2.5905 5.9408
K 2.2097 5.7696 4.9782
K 4.4195 20.4880 5.9408
K 6.6292 17.3089 10.9190
Co 4.4195 11.5393 4.6390
P 2.9300 2.9754 2.4976
P 1.4894 8.5638 2.4976
P 4.4195 6.1189 7.8551
P 5.9089 14.5147 8.4384
P 7.3495 20.1031 8.4384
P 4.4195 16.9596 7.8551
O 2.0387 2.1095 1.6594
O 4.4195 5.9497 3.3095
O 5.8034 11.5393 3.5326
O 2.5406 3.2168 3.9298
O 2.3807 9.4298 1.6594
O 4.4195 5.2215 6.6611
O 5.6787 7.1626 7.6510
O 4.4195 9.7529 4.7198
O 5.8202 11.5393 5.7659
O 3.0355 11.5393 3.5326
O 6.8002 13.6487 7.6001
O 4.4195 13.3256 4.7198
O 1.8788 8.3224 3.9298
O 4.4195 17.1288 3.3095
O 3.1602 7.1626 7.6510
O 4.4195 9.2127 8.4400
O 3.0188 11.5393 5.7659
O 5.6787 15.9159 7.6510
O 6.2983 14.7561 9.8706
O 4.4195 13.8658 8.4400
O 6.4582 20.9690 7.6001
O 4.4195 17.8570 6.6611
O 6.9601 19.8617 9.8706
O 4.4195 11.5393 10.7843
O 3.1602 15.9159 7.6510



[5]
6
Lattice="3.3616 0.0000 0.0000 -0.0063 4.2934 0.0000 -1.6121 -2.1376 5.3497" Properties=species:S:1:pos:R:3 comment="SrMgFeO3 | Materials Project | PBE with a Hubbard U | optimized geometry" energy_ev_per_atom=-6.194 spacegroup=P1 ef_ev_per_atom=-2.48 pbc="T T T"
Sr 0.0000 0.0000 0.0000
Mg 0.0817 0.0073 3.3065
Fe 1.7802 2.1508 1.9662
O 0.0676 2.1539 3.2945
O -0.0052 0.0121 5.3256
O 1.7631 0.0046 2.1414



[6]
40
Lattice="7.8399 0.0000 0.0000 0.0000 6.6848 0.0000 -1.8332 0.0000 10.5623" Properties=species:S:1:pos:R:3 comment="CaMo3P3O13 | Materials Project | PBE with a Hubbard U | optimized geometry" energy_ev_per_atom=-7.373 spacegroup=P2_1/m ef_ev_per_atom=-2.55 pbc="T T T"
Ca 0.8031 1.6712 2.0521
Ca 5.2036 5.0136 8.5102
Mo -0.3677 1.6712 8.3982
Mo 1.3160 5.0136 4.6680
Mo 3.9199 0.0000 0.0000
Mo 3.9199 3.3424 0.0000
Mo 4.6907 1.6712 5.8943
Mo 6.3744 5.0136 2.1641
P 1.2313 5.0136 1.1750
P 0.4566 5.0136 8.0964
P 1.3196 1.6712 5.3546
P 4.6871 5.0136 5.2077
P 5.5501 1.6712 2.4660
P 4.7754 1.6712 9.3874
O -1.7457 1.6712 10.2081
O -0.5012 3.8149 8.3157
O -0.5012 6.2122 8.3157
O 0.6880 5.0136 2.6584
O 0.1251 1.6712 6.3320
O 1.2148 0.4588 4.3722
O 1.2148 2.8836 4.3722
O 2.0246 3.6988 1.0080
O 2.0246 6.3283 1.0080
O 1.1757 5.0136 6.7645
O 1.3285 1.6712 9.5352
O 1.5779 5.0136 9.2135
O 2.6312 1.6712 6.1687
O 3.3755 5.0136 4.3936
O 4.4288 1.6712 1.3488
O 4.6782 5.0136 1.0272
O 4.8311 1.6712 3.7978
O 3.9821 0.3564 9.5544
O 3.9821 2.9860 9.5544
O 4.7919 3.8012 6.1901
O 4.7919 6.2259 6.1901
O 5.8816 5.0136 4.2304
O 5.3187 1.6712 7.9039
O 6.5079 0.4725 2.2466
O 6.5079 2.8698 2.2466
O 7.7524 5.0136 0.3542



[7]
24
Lattice="6.3094 0.0000 0.0000 0.0000 6.3499 0.0000 0.0000 0.0000 6.8950" Properties=species:S:1:pos:R:3 comment="LiMnF4 | Materials Project | PBE with a Hubbard U | optimized geometry" energy_ev_per_atom=-5.449 spacegroup=Pnma ef_ev_per_atom=-2.91 pbc="T T T"
Li 1.5134 1.5875 1.5900
Li 1.6414 4.7624 5.0375
Li 4.6681 1.5875 1.8575
Li 4.7961 4.7624 5.3050
Mn 0.0594 1.5875 5.1725
Mn 3.0953 4.7624 1.7250
Mn 3.2142 1.5875 5.1700
Mn 6.2500 4.7624 1.7225
F 0.0586 3.4315 5.1763
F 0.0586 6.0933 5.1763
F 1.5219 4.7624 0.4552
F 1.5226 4.7624 3.0559
F 1.6328 1.5875 3.9026
F 1.6321 1.5875 6.5034
F 3.0962 0.2566 1.7289
F 3.0962 2.9184 1.7289
F 3.2133 3.4315 5.1661
F 3.2133 6.0933 5.1661
F 4.6773 4.7624 0.3916
F 4.6766 4.7624 2.9923
F 4.7868 1.5875 3.8391
F 4.7875 1.5875 6.4398
F 6.2509 0.2566 1.7186
F 6.2509 2.9184 1.7186



[8]
32
Lattice="10.5642 -1.4531 0.0000 10.5642 1.4531 0.0000 -2.9838 0.0000 9.4065" Properties=species:S:1:pos:R:3 comment="Li9Mn2Co5O16 | Materials Project | PBE with a Hubbard U | optimized geometry" energy_ev_per_atom=-5.792 spacegroup=Cm ef_ev_per_atom=-1.80 pbc="T T T"
Li 0.0000 0.0000 0.0000
Li 0.6990 0.0000 5.8815
Li 4.6750 0.0000 2.1403
Li 5.1312 0.0000 8.3318
Li 9.1111 0.0000 4.7445
Li 12.9013 0.0000 1.0388
Li 13.5430 0.0000 7.1176
Li 16.9601 0.0000 0.5947
Li 17.3621 0.0000 3.3828
Mn 4.9298 0.0000 5.2455
Mn 8.5756 0.0000 1.7372
Co 0.3558 0.0000 2.9309
Co 1.3613 0.0000 8.8389
Co 9.5469 0.0000 7.6634
Co 13.1927 0.0000 4.0213
Co 17.7897 0.0000 6.5159
O -1.3958 0.0000 6.2141
O -0.9106 0.0000 9.0088
O 2.4193 0.0000 2.7585
O 2.9572 0.0000 5.2993
O 3.1294 0.0000 8.4413
O 6.7564 0.0000 2.0248
O 6.8608 0.0000 5.1434
O 7.3725 0.0000 7.8258
O 10.6197 0.0000 1.5531
O 11.1341 0.0000 4.3242
O 11.4437 0.0000 7.3816
O 14.8845 0.0000 0.7832
O 15.3682 0.0000 3.9593
O 15.6009 0.0000 6.5547
O 19.0632 0.0000 0.4442
O 19.4196 0.0000 3.0606